First-principles (meta-GGA r2SCAN) data for crystalline DyErCu2 at its relaxed geometry, as listed in Materials Project.

The volume comes out at 80.1 Å³/f.u. The calculation puts the total magnetization at 0.00 μB/f.u. The calculation puts the energy of formation at -269 meV/atom.

The space group is Fm-3m (No. 225) and the conventional cell measures 6.842, 6.842 and 6.842 Å, with angles of 90.00, 90.00 and 90.00 degrees. Symmetry generates all atoms from Dy at (0.000, 0.000, 0.000), Er at (0.000, 0.000, 0.500) and Cu at (0.250, 0.250, 0.250).